(1)
The following is a DFT calculation (GGA-PBE) of a geometry-optimized Sm2Pb2O7 structure.

Results
SG: P2_1/c
Energy relative to the elements in eV per atom: -2.434

a = 7.596 Å, b = 7.178 Å, c = 12.689 Å
α = 90.00°, β = 100.99°, γ = 90.00°
Atoms (fractional coordinates):
Sm 0.028 0.101 0.356
Sm 0.028 0.399 0.856
Sm 0.230 0.186 0.113
Sm 0.230 0.314 0.613
Sm 0.770 0.686 0.387
Sm 0.770 0.814 0.887
Sm 0.972 0.601 0.144
Sm 0.972 0.899 0.644
Pb 0.267 0.615 0.398
Pb 0.267 0.885 0.898
Pb 0.443 0.611 0.112
Pb 0.443 0.889 0.612
Pb 0.557 0.111 0.388
Pb 0.557 0.389 0.888
Pb 0.733 0.115 0.102
Pb 0.733 0.385 0.602
O 0.031 0.735 0.824
O 0.031 0.765 0.324
O 0.107 0.116 0.932
O 0.107 0.384 0.432
O 0.182 0.006 0.531
O 0.182 0.494 0.031
O 0.285 0.536 0.237
O 0.285 0.964 0.737
O 0.302 0.106 0.294
O 0.302 0.394 0.794
O 0.344 0.607 0.576
O 0.344 0.893 0.076
O 0.498 0.689 0.935
O 0.498 0.811 0.435
O 0.502 0.189 0.565
O 0.502 0.311 0.065
O 0.656 0.107 0.924
O 0.656 0.393 0.424
O 0.698 0.606 0.206
O 0.698 0.894 0.706
O 0.715 0.036 0.263
O 0.715 0.464 0.763
O 0.818 0.506 0.969
O 0.818 0.994 0.469
O 0.893 0.616 0.568
O 0.893 0.884 0.068
O 0.969 0.235 0.676
O 0.969 0.265 0.176

***

(2)
The following is a DFT calculation (GGA-PBE) of a geometry-optimized SnPb2O4 structure.

Results
SG: P4_2/mbc
Energy relative to the elements in eV per atom: -1.779

a = 8.920 Å, b = 8.920 Å, c = 6.482 Å
α = 90.00°, β = 90.00°, γ = 90.00°
Atoms (fractional coordinates):
Sn 0.000 0.500 0.250
Sn 0.000 0.500 0.750
Sn 0.500 0.000 0.250
Sn 0.500 0.000 0.750
Pb 0.143 0.163 0.000
Pb 0.163 0.857 0.500
Pb 0.337 0.357 0.500
Pb 0.357 0.663 0.000
Pb 0.643 0.337 0.000
Pb 0.663 0.643 0.500
Pb 0.837 0.143 0.500
Pb 0.857 0.837 0.000
O 0.095 0.624 0.000
O 0.124 0.595 0.500
O 0.165 0.335 0.250
O 0.165 0.335 0.750
O 0.335 0.835 0.250
O 0.335 0.835 0.750
O 0.376 0.095 0.500
O 0.405 0.124 0.000
O 0.595 0.876 0.000
O 0.624 0.905 0.500
O 0.665 0.165 0.250
O 0.665 0.165 0.750
O 0.835 0.665 0.250
O 0.835 0.665 0.750
O 0.876 0.405 0.500
O 0.905 0.376 0.000

***

(3)
The following is a DFT calculation (GGA-PBE) of a geometry-optimized Sn2Pb2O7 structure.

Results
SG: Fd-3m
Energy relative to the elements in eV per atom: -1.733

a = 7.604 Å, b = 7.604 Å, c = 7.604 Å
α = 60.00°, β = 60.00°, γ = 60.00°
Atoms (fractional coordinates):
Sn 0.000 0.000 0.000
Sn 0.000 0.000 0.500
Sn 0.000 0.500 0.000
Sn 0.500 0.000 0.000
Pb 0.000 0.500 0.500
Pb 0.500 0.000 0.500
Pb 0.500 0.500 0.000
Pb 0.500 0.500 0.500
O 0.082 0.082 0.668
O 0.082 0.668 0.082
O 0.082 0.668 0.668
O 0.332 0.332 0.918
O 0.332 0.918 0.332
O 0.332 0.918 0.918
O 0.375 0.375 0.375
O 0.625 0.625 0.625
O 0.668 0.082 0.082
O 0.668 0.082 0.668
O 0.668 0.668 0.082
O 0.918 0.332 0.332
O 0.918 0.332 0.918
O 0.918 0.918 0.332

***

(4)
The following is a DFT calculation (GGA-PBE) of a geometry-optimized Sr8SnPb3O16 structure.

Results
SG: P4/mmm
Energy relative to the elements in eV per atom: -2.464

a = 6.027 Å, b = 6.027 Å, c = 12.718 Å
α = 90.00°, β = 90.00°, γ = 90.00°
Atoms (fractional coordinates):
Sr 0.000 0.000 0.145
Sr 0.000 0.000 0.855
Sr 0.000 0.500 0.358
Sr 0.000 0.500 0.642
Sr 0.500 0.000 0.358
Sr 0.500 0.000 0.642
Sr 0.500 0.500 0.148
Sr 0.500 0.500 0.852
Sn 0.500 0.500 0.500
Pb 0.000 0.000 0.500
Pb 0.000 0.500 0.000
Pb 0.500 0.000 0.000
O 0.000 0.000 0.331
O 0.000 0.000 0.669
O 0.000 0.500 0.171
O 0.000 0.500 0.829
O 0.250 0.250 0.000
O 0.250 0.750 0.000
O 0.256 0.256 0.500
O 0.256 0.744 0.500
O 0.500 0.000 0.171
O 0.500 0.000 0.829
O 0.500 0.500 0.336
O 0.500 0.500 0.664
O 0.744 0.256 0.500
O 0.744 0.744 0.500
O 0.750 0.250 0.000
O 0.750 0.750 0.000

***

> The highest energy relative to the elements belongs to which entry?

Sn2Pb2O7

***

> The highest energy relative to the elements belongs to which entry?

Sn2Pb2O7

***

> What is the energy relative to the elements in the fourth record?

-2.464 eV per atom

***

> Which formula does entry 4 have?

Sr8SnPb3O16